No. 1
This record from the Materials Project describes Rb3NpO9 after structural relaxation. The functional is PBE. Values from VASP.

Quantum ESPRESSO input file:
```
&SYSTEM
  ibrav = 0, nat = 26, ntyp = 3
/
ATOMIC_SPECIES
Rb 85.47 Rb.upf
Np 237.00 Np.upf
O 16.00 O.upf
CELL_PARAMETERS angstrom
-3.360 2.646 6.346
-1.110 -7.590 2.868
7.133 0.109 4.022
ATOMIC_POSITIONS angstrom
Rb -3.379 -5.373 7.662
Rb 1.435 -4.249 7.965
Rb -1.951 -0.664 8.234
Rb 6.043 0.537 5.573
Rb 1.229 -0.586 5.271
Rb 4.615 -4.171 5.002
Np -2.235 -2.472 4.607
Np 3.567 0.054 2.011
O -1.602 -0.802 5.251
O 0.836 -1.435 8.253
O 0.878 -4.306 10.919
O 3.076 -1.040 7.570
O -0.782 -4.910 6.232
O -0.413 -3.796 5.666
O 3.906 -2.590 10.215
O 2.290 0.851 10.071
O 1.828 -3.400 4.983
O 1.411 -5.488 3.929
O 0.374 -5.687 3.165
O 3.446 0.074 7.004
O 2.503 -6.793 6.610
O 0.161 1.957 6.626
O 4.266 -4.034 7.985
O 1.786 -0.530 2.317
O 1.253 0.652 9.307
O -1.242 -2.246 3.021
```

Total energy after the MP2020 corrections in eV/f.u.: -79.942
Formation energy in eV per formula unit: -19.5
Magnetization in Bohr magnetons per cell: 8.0
DFT total energy in eV/f.u.: -78.5
SG: C2/c
Offset from the most stable computed form in eV/atom: 0.031



No. 2
This record from the Materials Project describes LuAgGe after structural relaxation. The functional is PBE. Values from VASP.

Quantum ESPRESSO input file:
```
&SYSTEM
  ibrav = 0, nat = 9, ntyp = 3
/
ATOMIC_SPECIES
Lu 174.97 Lu.upf
Ge 72.64 Ge.upf
Ag 107.87 Ag.upf
CELL_PARAMETERS angstrom
3.552 -6.153 0.000
3.552 6.153 0.000
0.000 0.000 4.134
ATOMIC_POSITIONS angstrom
Lu 2.083 3.608 0.000
Lu 2.083 -3.608 0.000
Lu 2.938 0.000 0.000
Ge 0.000 0.000 0.000
Ge 3.552 -2.051 2.067
Ge 3.552 2.051 2.067
Ag 5.300 0.000 2.067
Ag 0.902 1.563 2.067
Ag 0.902 -1.563 2.067
```

Formation energy in eV per formula unit: -1.8
DFT total energy in eV/f.u.: -13.8
SG: P-62m



No. 3
This record from the Materials Project describes Er11In6Ge4 after structural relaxation. The functional is PBE. Values from VASP.

Quantum ESPRESSO input file:
```
&SYSTEM
  ibrav = 0, nat = 42, ntyp = 3
/
ATOMIC_SPECIES
Er 167.26 Er.upf
Ge 72.64 Ge.upf
In 114.82 In.upf
CELL_PARAMETERS angstrom
-5.724 5.724 8.105
5.724 -5.724 8.105
5.724 5.724 -8.105
ATOMIC_POSITIONS angstrom
Er 2.865 5.724 3.004
Er -1.768 5.724 6.454
Er 7.492 0.000 1.651
Er 0.000 7.492 1.651
Er 3.957 0.000 1.651
Er 5.724 -1.768 6.454
Er 0.000 0.000 2.734
Er 2.865 5.724 -3.004
Er -1.938 1.938 8.105
Er 3.786 3.786 0.000
Er 0.000 3.957 1.651
Er 2.859 0.000 11.109
Er 0.000 0.000 13.476
Er 5.724 1.768 6.454
Er 5.724 2.865 -3.004
Er 1.938 -1.938 8.105
Er 1.938 1.938 8.105
Er 0.000 2.859 5.102
Er 2.859 0.000 5.102
Er 0.000 2.859 11.109
Er 1.768 5.724 6.454
Er 5.724 2.865 3.004
Ge 0.000 0.000 6.217
Ge 0.000 3.979 8.105
Ge 3.979 0.000 8.105
Ge 0.000 5.724 4.053
Ge 5.724 0.000 4.053
Ge 1.745 5.724 0.000
Ge 5.724 1.745 0.000
Ge 0.000 0.000 9.994
In 2.354 2.354 -2.775
In 2.354 2.354 2.775
In 4.249 4.249 8.105
In -4.249 4.249 8.105
In -3.370 3.370 5.331
In 3.370 -3.370 10.880
In 3.370 3.370 10.880
In 4.249 -4.249 8.105
In 3.370 3.370 5.331
In 1.475 1.475 0.000
In -3.370 3.370 10.880
In 3.370 -3.370 5.331
```

Formation energy in eV per formula unit: -13.5
Magnetization in Bohr magnetons per cell: 0.9
DFT total energy in eV/f.u.: -98.7
SG: I4/mmm



No. 4
This record from the Materials Project describes ScHO2 after structural relaxation. The functional is PBE. Values from VASP.

Quantum ESPRESSO input file:
```
&SYSTEM
  ibrav = 0, nat = 8, ntyp = 3
/
ATOMIC_SPECIES
H 1.01 H.upf
O 16.00 O.upf
Sc 44.96 Sc.upf
CELL_PARAMETERS angstrom
1.638 -6.516 0.000
1.638 6.516 0.000
0.000 0.000 4.050
ATOMIC_POSITIONS angstrom
H 1.638 6.310 0.263
H 1.638 -6.310 2.289
O 1.638 -5.615 3.014
O 1.638 2.809 1.014
O 1.638 -2.809 3.040
O 1.638 5.615 0.989
Sc 1.638 2.288 3.041
Sc 1.638 -2.288 1.016
```

Total energy after the MP2020 corrections in eV/f.u.: -31.469
Formation energy in eV per formula unit: -11.8
Maximum piezoelectric response in C/m2: 0.76
DFT total energy in eV/f.u.: -30.1
SG: Cmc2_1



No. 5
This record from the Materials Project describes Mg7Cu2O9 after structural relaxation. The functional is PBE. Values from VASP.

Quantum ESPRESSO input file:
```
&SYSTEM
  ibrav = 0, nat = 18, ntyp = 3
/
ATOMIC_SPECIES
Mg 24.30 Mg.upf
O 16.00 O.upf
Cu 63.55 Cu.upf
CELL_PARAMETERS angstrom
0.219 -6.566 4.482
2.232 -4.835 5.907
-5.347 2.714 4.259
ATOMIC_POSITIONS angstrom
Mg 2.028 -9.502 8.678
Mg -1.245 -8.964 12.650
Mg -1.651 0.276 1.998
Mg 1.225 -5.701 5.194
Mg 0.004 -7.352 8.927
Mg -4.925 0.815 5.970
Mg -2.900 -1.335 5.721
O -0.201 -2.702 3.567
O -2.695 -5.985 11.081
O -4.342 1.656 4.124
O -3.503 -2.177 7.594
O -0.654 -8.119 10.788
O 0.606 -6.511 7.053
O -2.242 -0.569 3.859
O 1.445 -10.343 10.523
O -1.448 -4.344 7.324
Cu -2.062 -5.163 9.186
Cu -0.834 -3.525 5.461
```

Total energy after the MP2020 corrections in eV/f.u.: -109.327
Formation energy in eV per formula unit: -45.4
Magnetization in Bohr magnetons per cell: 2.0
DFT total energy in eV/f.u.: -103.1
SG: C2/m



No. 6
This record from the Materials Project describes BaAlSn after structural relaxation. The functional is PBE. Values from VASP.

Quantum ESPRESSO input file:
```
&SYSTEM
  ibrav = 0, nat = 3, ntyp = 3
/
ATOMIC_SPECIES
Sn 118.71 Sn.upf
Al 26.98 Al.upf
Ba 137.33 Ba.upf
CELL_PARAMETERS angstrom
2.507 2.059 -3.396
-3.887 -2.405 -1.080
-2.816 4.311 0.536
ATOMIC_POSITIONS angstrom
Sn -3.164 1.239 -1.584
Al -1.408 2.156 0.268
Ba 0.376 0.571 -2.624
```

Formation energy in eV per formula unit: -1.4
Magnetization in Bohr magnetons per cell: 0.0
DFT total energy in eV/f.u.: -11.1
SG: P-6m2



In Å³/cell, the V values for the records above are, in order, 512 181 1062 86 173 99.